Computed, not measured: a relaxed TlHgF3 crystal at the PBE-GGA level of DFT.

Summary:
- ρ (g/cm3) = 8.087
- V (Å³/cell) = 758.9
- formation energy (eV/f.u.) = -9.2

Cell lengths 6.3792, 9.0508, 13.1440 Å; angles 90.00, 90.00, 90.00 degrees
Sites, in units of the cell vectors:
Hg (0.7558, 0.7500, 0.3745)
Hg (0.2558, 0.2500, 0.1255)
Hg (0.7442, 0.2500, 0.8745)
Hg (0.7442, 0.7500, 0.8745)
Hg (0.2442, 0.2500, 0.6255)
Hg (0.2558, 0.7500, 0.1255)
Hg (0.2442, 0.7500, 0.6255)
Hg (0.7558, 0.2500, 0.3745)
F (0.5000, 0.1909, 0.0000)
F (0.0411, 0.3011, 0.2608)
F (0.1972, 0.5000, 0.5838)
F (0.7103, 0.0000, 0.8300)
F (0.0411, 0.6989, 0.2608)
F (0.8028, 0.5000, 0.4162)
F (0.0000, 0.7957, 0.0000)
F (0.9589, 0.6989, 0.7392)
F (0.3028, 0.5000, 0.0838)
F (0.2103, 0.0000, 0.6700)
F (0.0000, 0.8091, 0.5000)
F (0.6972, 0.5000, 0.9162)
F (0.5411, 0.3011, 0.2392)
F (0.5000, 0.8091, 0.0000)
F (0.2897, 0.0000, 0.1700)
F (0.0000, 0.1909, 0.5000)
F (0.5411, 0.6989, 0.2392)
F (0.0000, 0.2043, 0.0000)
F (0.4589, 0.6989, 0.7608)
F (0.7897, 0.0000, 0.3300)
F (0.5000, 0.7957, 0.5000)
F (0.4589, 0.3011, 0.7608)
F (0.9589, 0.3011, 0.7392)
F (0.5000, 0.2043, 0.5000)
Tl (0.7586, 0.0000, 0.6185)
Tl (0.2487, 0.5000, 0.3725)
Tl (0.2586, 0.0000, 0.8815)
Tl (0.2414, 0.0000, 0.3815)
Tl (0.2513, 0.5000, 0.8725)
Tl (0.7487, 0.5000, 0.1275)
Tl (0.7513, 0.5000, 0.6275)
Tl (0.7414, 0.0000, 0.1185)